# 1
Compound: Cs5YO4
Source: the Materials Project database
Functional: r2SCAN
Structure: optimized geometry

Magnetic moment   0.0 μB per cell
Energy relative to the elements   -1.82 eV/atom
VASP energy   -751.96 eV per cell

Structure (CIF):
```
data_Cs5YO4
_cell_length_a 11.7992
_cell_length_b 13.0912
_cell_length_c 7.4618
_cell_angle_alpha 90.00
_cell_angle_beta 100.70
_cell_angle_gamma 90.00
_symmetry_space_group_name_H-M 'P 1 21/c 1'
_symmetry_Int_Tables_number 14
loop_
_symmetry_equiv_pos_as_xyz
'x,y,z'
'-x,-y,-z'
'-x,y+1/2,-z+1/2'
'x,-y+1/2,z+1/2'
loop_
_atom_site_label
_atom_site_type_symbol
_atom_site_fract_x
_atom_site_fract_y
_atom_site_fract_z
Cs1 Cs 0.9997 0.0771 0.2407
Cs2 Cs 0.1543 0.1777 0.8284
Cs3 Cs 0.2202 0.6965 0.0110
Cs4 Cs 0.3736 0.0674 0.5707
Cs5 Cs 0.4935 0.6638 0.4055
Y1 Y 0.2598 0.5379 0.6135
O1 O 0.0983 0.6088 0.6442
O2 O 0.2561 0.1220 0.1894
O3 O 0.2652 0.5433 0.3287
O4 O 0.3973 0.6266 0.7689
```


# 2
Compound: B2Mo
Source: the Materials Project database
Functional: r2SCAN
Structure: optimized geometry

Magnetic moment   0.0 μB per cell
Energy relative to the elements   -0.45 eV/atom
VASP energy   -252.66 eV per cell

Structure (CIF):
```
data_B2Mo
_cell_length_a 3.0148
_cell_length_b 3.0148
_cell_length_c 20.8776
_cell_angle_alpha 90.00
_cell_angle_beta 90.00
_cell_angle_gamma 120.00
_symmetry_space_group_name_H-M 'R -3 m'
_symmetry_Int_Tables_number 166
_symmetry_space_group_name_Hall '-R 3 2"'
loop_
_atom_site_label
_atom_site_type_symbol
_atom_site_fract_x
_atom_site_fract_y
_atom_site_fract_z
B1 B 0.0000 0.0000 0.1679
B2 B 0.0000 0.0000 0.3183
Mo1 Mo 0.0000 0.0000 0.4243
```


# 3
Compound: Al5Rh2
Source: the Materials Project database
Functional: r2SCAN
Structure: optimized geometry

Magnetic moment   0.0 μB per cell
Energy relative to the elements   -0.81 eV/atom
VASP energy   -350.32 eV per cell

Structure (CIF):
```
data_Al5Rh2
_cell_length_a 7.8988
_cell_length_b 7.8988
_cell_length_c 7.8292
_cell_angle_alpha 90.00
_cell_angle_beta 90.00
_cell_angle_gamma 120.00
_symmetry_space_group_name_H-M 'P 63/m m c'
_symmetry_Int_Tables_number 194
_symmetry_space_group_name_Hall '-P 6c 2c'
loop_
_atom_site_label
_atom_site_type_symbol
_atom_site_fract_x
_atom_site_fract_y
_atom_site_fract_z
Al1 Al 0.0000 0.0000 0.0000
Al2 Al 0.0564 0.5282 0.2500
Al3 Al 0.1919 0.3838 0.5598
Rh1 Rh 0.1298 0.2595 0.2500
Rh2 Rh 0.3333 0.6667 0.7500
```


> The highest energy relative to the elements belongs to which entry?

B2Mo


Repeat the third record exactly.
Compound: Al5Rh2
Source: the Materials Project database
Functional: r2SCAN
Structure: optimized geometry

Magnetic moment   0.0 μB per cell
Energy relative to the elements   -0.81 eV/atom
VASP energy   -350.32 eV per cell

Structure (CIF):
```
data_Al5Rh2
_cell_length_a 7.8988
_cell_length_b 7.8988
_cell_length_c 7.8292
_cell_angle_alpha 90.00
_cell_angle_beta 90.00
_cell_angle_gamma 120.00
_symmetry_space_group_name_H-M 'P 63/m m c'
_symmetry_Int_Tables_number 194
_symmetry_space_group_name_Hall '-P 6c 2c'
loop_
_atom_site_label
_atom_site_type_symbol
_atom_site_fract_x
_atom_site_fract_y
_atom_site_fract_z
Al1 Al 0.0000 0.0000 0.0000
Al2 Al 0.0564 0.5282 0.2500
Al3 Al 0.1919 0.3838 0.5598
Rh1 Rh 0.1298 0.2595 0.2500
Rh2 Rh 0.3333 0.6667 0.7500
```